[1]
A plane-wave DFT calculation with r²SCAN was carried out for Bi2Se3O10 after structural relaxation. Values from VASP.

```
&SYSTEM
  ibrav = 0, nat = 30, ntyp = 3
/
ATOMIC_SPECIES
O 16.00 O.upf
Se 78.96 Se.upf
Bi 208.98 Bi.upf
ATOMIC_POSITIONS crystal
O 0.394 0.419 0.306
O 0.894 0.694 0.018
O 0.998 0.745 0.264
O 0.749 0.291 0.066
O 0.581 0.606 0.194
O 0.255 0.002 0.236
O 0.579 0.040 0.112
O 0.040 0.579 0.612
O 0.421 0.960 0.888
O 0.745 0.998 0.764
O 0.002 0.255 0.736
O 0.419 0.394 0.806
O 0.291 0.749 0.566
O 0.694 0.894 0.518
O 0.606 0.581 0.694
O 0.709 0.251 0.434
O 0.960 0.421 0.388
O 0.306 0.106 0.482
O 0.106 0.306 0.982
O 0.251 0.709 0.934
Se 0.052 0.198 0.533
Se 0.948 0.802 0.467
Se 0.198 0.052 0.033
Se 0.802 0.948 0.967
Se 0.390 0.610 0.750
Se 0.610 0.390 0.250
Bi 0.469 0.169 0.649
Bi 0.531 0.831 0.351
Bi 0.831 0.531 0.851
Bi 0.169 0.469 0.149
CELL_PARAMETERS angstrom
-0.498 -8.256 2.975
0.510 -7.560 -4.454
7.363 -3.184 0.701
```

Values from the calculation:
As for the calculated density: 6.09 g cm⁻³. Its formation energy is -1487 kJ/mol of formula units. The calculation puts the volume at 444 Å³ per cell. For the total magnetization, the calculation gives 0.00 μB/f.u.

[2]
A plane-wave DFT calculation with r²SCAN was carried out for CrFeP after structural relaxation. Values from VASP.

```
&SYSTEM
  ibrav = 0, nat = 12, ntyp = 3
/
ATOMIC_SPECIES
Fe 55.84 Fe.upf
Cr 52.00 Cr.upf
P 30.97 P.upf
ATOMIC_POSITIONS crystal
Fe 0.750 0.855 0.436
Fe 0.750 0.355 0.064
Fe 0.250 0.645 0.936
Fe 0.250 0.145 0.564
Cr 0.250 0.518 0.331
Cr 0.750 0.982 0.831
Cr 0.250 0.018 0.169
Cr 0.750 0.482 0.669
P 0.750 0.231 0.377
P 0.250 0.269 0.877
P 0.250 0.769 0.623
P 0.750 0.731 0.123
CELL_PARAMETERS angstrom
-2.784 1.777 1.277
-2.678 -0.532 -5.097
-2.693 -5.660 2.006
```

Values from the calculation:
As for the calculated density: 6.84 g cm⁻³. Its formation energy is -108 kJ/mol of formula units. The calculation puts the volume at 135 Å³ per cell. For the total magnetization, the calculation gives 1.01 μB/f.u.

Please write out number 2 again, unchanged.
A plane-wave DFT calculation with r²SCAN was carried out for CrFeP after structural relaxation. Values from VASP.

```
&SYSTEM
  ibrav = 0, nat = 12, ntyp = 3
/
ATOMIC_SPECIES
Fe 55.84 Fe.upf
Cr 52.00 Cr.upf
P 30.97 P.upf
ATOMIC_POSITIONS crystal
Fe 0.750 0.855 0.436
Fe 0.750 0.355 0.064
Fe 0.250 0.645 0.936
Fe 0.250 0.145 0.564
Cr 0.250 0.518 0.331
Cr 0.750 0.982 0.831
Cr 0.250 0.018 0.169
Cr 0.750 0.482 0.669
P 0.750 0.231 0.377
P 0.250 0.269 0.877
P 0.250 0.769 0.623
P 0.750 0.731 0.123
CELL_PARAMETERS angstrom
-2.784 1.777 1.277
-2.678 -0.532 -5.097
-2.693 -5.660 2.006
```

Values from the calculation:
As for the calculated density: 6.84 g cm⁻³. Its formation energy is -108 kJ/mol of formula units. The calculation puts the volume at 135 Å³ per cell. For the total magnetization, the calculation gives 1.01 μB/f.u.

Which value of total magnetization does entry 2 give? 1.01 μB/f.u.

The lowest calculated density belongs to which entry? Bi2Se3O10